No. 1
Compound: Tb3Sc2S7
Source: Materials Project
Functional: r2SCAN
Structure: relaxed

a = 6.502 Å, b = 6.502 Å, c = 11.395 Å
α = 104.55°, β = 104.55°, γ = 33.48°
Element x y z (fractional)
Tb  0.000  0.000  0.000
Tb  0.304  0.304  0.202
Tb  0.696  0.696  0.798
Sc  0.111  0.111  0.429
Sc  0.889  0.889  0.571
S  0.033  0.033  0.776
S  0.264  0.264  0.637
S  0.338  0.338  0.946
S  0.500  0.500  0.500
S  0.662  0.662  0.054
S  0.736  0.736  0.363
S  0.967  0.967  0.224

Results
Its calculated total energy is -16.703 eV per atom. Its space group is C2/m (12). The formation energy is -2310 meV/atom.

No. 2
Compound: ScUS2
Source: Materials Project
Functional: r2SCAN
Structure: relaxed

a = 6.631 Å, b = 6.631 Å, c = 6.631 Å
α = 131.55°, β = 131.55°, γ = 70.94°
Element x y z (fractional)
Sc  0.375  0.625  0.750
Sc  0.625  0.375  0.250
U  0.125  0.875  0.250
U  0.875  0.125  0.750
S  0.134  0.384  0.750
S  0.384  0.134  0.250
S  0.616  0.866  0.750
S  0.866  0.616  0.250

Results
Its calculated total energy is -28.691 eV per atom. Its space group is I4_1/amd (141). The calculation puts the energy above the most stable polymorph in this dataset at 0 meV per atom. The formation energy is -1839 meV/atom.

> Number 2 is which compound?

ScUS2

What did the second record say?
Compound: ScUS2
Source: Materials Project
Functional: r2SCAN
Structure: relaxed

a = 6.631 Å, b = 6.631 Å, c = 6.631 Å
α = 131.55°, β = 131.55°, γ = 70.94°
Element x y z (fractional)
Sc  0.375  0.625  0.750
Sc  0.625  0.375  0.250
U  0.125  0.875  0.250
U  0.875  0.125  0.750
S  0.134  0.384  0.750
S  0.384  0.134  0.250
S  0.616  0.866  0.750
S  0.866  0.616  0.250

Results
Its calculated total energy is -28.691 eV per atom. Its space group is I4_1/amd (141). The calculation puts the energy above the most stable polymorph in this dataset at 0 meV per atom. The formation energy is -1839 meV/atom.

> Number 1 is which compound?

Tb3Sc2S7